A plane-wave DFT calculation with r²SCAN was carried out for a relaxed structure of Eu2GeS4.

abc: 6.649 6.681 8.082
angles: 72.10 90.00 90.00
Positions (direct):
S: 0.996 0.493 0.743
S: 0.004 0.507 0.257
S: 0.750 0.910 0.918
S: 0.750 0.921 0.378
S: 0.504 0.493 0.743
Ge: 0.750 0.731 0.197
S: 0.496 0.507 0.257
Ge: 0.250 0.269 0.803
Eu: 0.750 0.277 0.055
Eu: 0.250 0.723 0.945
Eu: 0.250 0.761 0.435
Eu: 0.750 0.239 0.565
S: 0.250 0.090 0.082
S: 0.250 0.079 0.622

E above lowest polymorph = 6 meV/atom
formation enthalpy at 0 K = -11.1 eV per formula unit

A plane-wave DFT calculation with r²SCAN was carried out for a relaxed structure of ErGaRh2.

abc: 4.500 4.500 4.500
angles: 60.00 60.00 60.00
Positions (direct):
Rh: 0.000 0.000 0.000
Rh: 0.500 0.500 0.500
Ga: 0.750 0.750 0.750
Er: 0.250 0.250 0.250

formation enthalpy at 0 K = -3.7 eV per formula unit

A plane-wave DFT calculation with r²SCAN was carried out for a relaxed structure of Pd7Se4.

abc: 5.309 7.037 10.366
angles: 90.00 90.00 90.00
Positions (direct):
Se: 0.000 0.500 0.000
Pd: 0.649 0.310 0.083
Pd: 0.661 0.126 0.367
Se: 0.831 0.000 0.000
Pd: 0.649 0.690 0.917
Se: 0.316 0.175 0.220
Pd: 0.351 0.810 0.417
Se: 0.684 0.325 0.720
Pd: 0.006 0.086 0.774
Pd: 0.661 0.874 0.632
Pd: 0.994 0.586 0.726
Se: 0.316 0.825 0.780
Pd: 0.339 0.626 0.133
Se: 0.684 0.675 0.280
Se: 0.169 0.500 0.500
Pd: 0.351 0.190 0.583
Se: 0.000 0.000 0.500
Pd: 0.677 0.500 0.500
Pd: 0.323 0.000 0.000
Pd: 0.994 0.414 0.274
Pd: 0.006 0.914 0.226
Pd: 0.339 0.374 0.868

formation enthalpy at 0 K = -3.3 eV per formula unit

A plane-wave DFT calculation with r²SCAN was carried out for a relaxed structure of LuScPd2.

abc: 4.746 4.746 4.746
angles: 60.00 60.00 60.00
Positions (direct):
Pd: 0.500 0.500 0.500
Pd: 0.000 0.000 0.000
Sc: 0.750 0.750 0.750
Lu: 0.250 0.250 0.250

formation enthalpy at 0 K = -3.8 eV per formula unit

A plane-wave DFT calculation with r²SCAN was carried out for a relaxed structure of LaN.

abc: 3.748 3.748 3.748
angles: 60.00 60.00 60.00
Positions (direct):
N: 0.500 0.500 0.500
La: 0.000 0.000 0.000

formation enthalpy at 0 K = -3.2 eV per formula unit

A plane-wave DFT calculation with r²SCAN was carried out for a relaxed structure of Ti2InC.

abc: 3.136 3.136 14.131
angles: 90.00 90.00 120.00
Positions (direct):
Ti: 0.333 0.667 0.421
Ti: 0.333 0.667 0.079
Ti: 0.667 0.333 0.921
Ti: 0.667 0.333 0.579
In: 0.667 0.333 0.250
C: 0.000 0.000 0.000
C: 0.000 0.000 0.500
In: 0.333 0.667 0.750

formation enthalpy at 0 K = -3.1 eV per formula unit

A plane-wave DFT calculation with r²SCAN was carried out for a relaxed structure of NaPrF4.

abc: 6.091 7.130 7.141
angles: 63.30 64.83 64.81
Positions (direct):
Pr: 0.997 0.494 0.510
Na: 0.669 0.470 0.179
F: 0.037 0.276 0.316
Na: 0.330 0.423 0.913
F: 0.045 0.812 0.775
F: 0.280 0.125 0.630
F: 0.970 0.884 0.391
Pr: 0.003 0.994 0.002
F: 0.369 0.536 0.505
F: 0.980 0.377 0.890
F: 0.588 0.705 0.667
F: 0.262 0.620 0.134
F: 0.753 0.236 0.749
Pr: 0.335 0.917 0.413
F: 0.756 0.728 0.236
F: 0.371 0.005 0.034
F: 0.593 0.167 0.200
Na: 0.662 0.991 0.695

formation enthalpy at 0 K = -23.7 eV per formula unit

A plane-wave DFT calculation with r²SCAN was carried out for a relaxed structure of SiO2.

abc: 7.133 7.136 7.151
angles: 60.07 75.79 60.54
Positions (direct):
O: 0.000 0.000 0.000
O: 0.828 0.587 0.793
O: 0.560 0.050 0.249
O: 0.477 0.330 0.424
Si: 0.573 0.676 0.783
O: 0.250 0.365 0.769
O: 0.672 0.120 0.793
O: 0.977 0.254 0.576
O: 0.172 0.413 0.207
O: 0.023 0.746 0.424
O: 0.500 0.500 0.000
Si: 0.427 0.324 0.217
Si: 0.927 0.041 0.783
Si: 0.041 0.623 0.684
O: 0.060 0.799 0.751
Si: 0.959 0.377 0.316
Si: 0.459 0.192 0.684
O: 0.750 0.635 0.231
Si: 0.541 0.808 0.316
O: 0.940 0.201 0.249
O: 0.523 0.670 0.576
Si: 0.073 0.959 0.217
O: 0.328 0.880 0.207
O: 0.440 0.950 0.751

formation enthalpy at 0 K = -9.1 eV per formula unit

Question: What is the formation enthalpy at 0 K in the seventh record?
Answer: -23.7 eV per formula unit

Question: The lowest formation enthalpy at 0 K belongs to which entry?
Answer: NaPrF4

Question: Look up the formation enthalpy at 0 K of the sixth one.
Answer: -3.1 eV per formula unit